# NdAlO3

A geometry-optimized NdAlO3 structure (PBE, the Materials Project).

Its symmetry is No. 167. The calculation puts the calculated formation energy at -3.672 eV per atom.

Geometry as CIF:
```
data_NdAlO3
_chemical_formula_sum 'Nd2 Al2 O6'
_cell_length_a 5.333
_cell_length_b 5.333
_cell_length_c 5.333
_cell_angle_alpha 60.59
_cell_angle_beta 60.59
_cell_angle_gamma 60.59
_symmetry_space_group_name_H-M 'P 1'
_symmetry_Int_Tables_number 1
_symmetry_space_group_name_Hall 'P 1'
loop_
_atom_site_label
_atom_site_fract_x
_atom_site_fract_y
_atom_site_fract_z
_atom_site_occupancy
Al1 0.500 0.500 0.500 1
Al2 0.000 0.000 0.000 1
O1 0.197 0.303 0.750 1
O2 0.750 0.197 0.303 1
O3 0.303 0.750 0.197 1
O4 0.250 0.803 0.697 1
O5 0.803 0.697 0.250 1
O6 0.697 0.250 0.803 1
Nd1 0.250 0.250 0.250 1
Nd2 0.750 0.750 0.750 1
```

=====

# NdAlO3

A geometry-optimized NdAlO3 structure (PBE, the Materials Project).

Its symmetry is No. 221. The calculation puts the calculated formation energy at -3.645 eV per atom.

Geometry as CIF:
```
data_NdAlO3
_chemical_formula_sum 'Nd1 Al1 O3'
_cell_length_a 3.774
_cell_length_b 3.774
_cell_length_c 3.774
_cell_angle_alpha 90.00
_cell_angle_beta 90.00
_cell_angle_gamma 90.00
_symmetry_space_group_name_H-M 'P 1'
_symmetry_Int_Tables_number 1
_symmetry_space_group_name_Hall 'P 1'
loop_
_atom_site_label
_atom_site_fract_x
_atom_site_fract_y
_atom_site_fract_z
_atom_site_occupancy
O1 0.000 0.500 0.000 1
O2 0.000 0.000 0.500 1
O3 0.500 0.000 0.000 1
Al1 0.000 0.000 0.000 1
Nd1 0.500 0.500 0.500 1
```

=====

# Nd4Al2O9

A geometry-optimized Nd4Al2O9 structure (PBE, the Materials Project).

Its symmetry is No. 14. The calculation puts the calculated formation energy at -3.716 eV per atom.

Geometry as CIF:
```
data_Nd4Al2O9
_chemical_formula_sum 'Nd16 Al8 O36'
_cell_length_a 10.954
_cell_length_b 7.792
_cell_length_c 11.451
_cell_angle_alpha 70.64
_cell_angle_beta 90.00
_cell_angle_gamma 90.00
_symmetry_space_group_name_H-M 'P 1'
_symmetry_Int_Tables_number 1
_symmetry_space_group_name_Hall 'P 1'
loop_
_atom_site_label
_atom_site_fract_x
_atom_site_fract_y
_atom_site_fract_z
_atom_site_occupancy
O1 0.535 0.782 0.666 1
O2 0.509 0.432 0.897 1
O3 0.004 0.924 0.394 1
O4 0.491 0.568 0.103 1
O5 0.734 0.920 0.481 1
O6 0.009 0.568 0.603 1
O7 0.266 0.080 0.519 1
O8 0.991 0.432 0.397 1
O9 0.965 0.782 0.166 1
O10 0.722 0.217 0.247 1
O11 0.276 0.232 0.736 1
O12 0.996 0.076 0.606 1
O13 0.234 0.080 0.019 1
O14 0.465 0.218 0.334 1
O15 0.224 0.232 0.236 1
O16 0.222 0.783 0.253 1
O17 0.963 0.299 0.173 1
O18 0.504 0.076 0.106 1
O19 0.258 0.434 0.383 1
O20 0.776 0.768 0.764 1
O21 0.228 0.641 0.032 1
O22 0.766 0.920 0.981 1
O23 0.242 0.434 0.883 1
O24 0.463 0.701 0.327 1
O25 0.742 0.566 0.617 1
O26 0.496 0.924 0.894 1
O27 0.272 0.641 0.532 1
O28 0.758 0.566 0.117 1
O29 0.778 0.217 0.747 1
O30 0.035 0.218 0.834 1
O31 0.037 0.701 0.827 1
O32 0.278 0.783 0.753 1
O33 0.728 0.359 0.468 1
O34 0.724 0.768 0.264 1
O35 0.537 0.299 0.673 1
O36 0.772 0.359 0.968 1
Al1 0.691 0.776 0.629 1
Al2 0.311 0.652 0.381 1
Al3 0.689 0.348 0.619 1
Al4 0.191 0.224 0.871 1
Al5 0.809 0.776 0.129 1
Al6 0.811 0.348 0.119 1
Al7 0.189 0.652 0.881 1
Al8 0.309 0.224 0.371 1
Nd1 0.086 0.026 0.190 1
Nd2 0.414 0.026 0.690 1
Nd3 0.377 0.836 0.087 1
Nd4 0.899 0.476 0.788 1
Nd5 0.101 0.524 0.212 1
Nd6 0.623 0.164 0.913 1
Nd7 0.914 0.974 0.810 1
Nd8 0.877 0.164 0.413 1
Nd9 0.376 0.334 0.071 1
Nd10 0.124 0.334 0.571 1
Nd11 0.601 0.476 0.288 1
Nd12 0.399 0.524 0.712 1
Nd13 0.123 0.836 0.587 1
Nd14 0.586 0.974 0.310 1
Nd15 0.624 0.666 0.929 1
Nd16 0.876 0.666 0.429 1
```

=====

# SrNdAl3O7

A geometry-optimized SrNdAl3O7 structure (PBE, the Materials Project).

Its symmetry is No. 35. The calculation puts the calculated formation energy at -3.556 eV per atom.

Geometry as CIF:
```
data_SrNdAl3O7
_chemical_formula_sum 'Sr2 Nd2 Al6 O14'
_cell_length_a 7.918
_cell_length_b 7.918
_cell_length_c 5.241
_cell_angle_alpha 90.00
_cell_angle_beta 90.00
_cell_angle_gamma 90.24
_symmetry_space_group_name_H-M 'P 1'
_symmetry_Int_Tables_number 1
_symmetry_space_group_name_Hall 'P 1'
loop_
_atom_site_label
_atom_site_fract_x
_atom_site_fract_y
_atom_site_fract_z
_atom_site_occupancy
Al1 0.000 0.500 0.998 1
Al2 0.641 0.359 0.040 1
Al3 0.145 0.145 0.961 1
Al4 0.359 0.641 0.040 1
Al5 0.855 0.855 0.961 1
Al6 0.500 0.000 0.998 1
O1 0.419 0.834 0.188 1
O2 0.847 0.847 0.293 1
O3 0.166 0.581 0.188 1
O4 0.630 0.370 0.706 1
O5 0.153 0.153 0.293 1
O6 0.500 0.500 0.195 1
O7 0.370 0.630 0.706 1
O8 0.093 0.340 0.804 1
O9 0.834 0.419 0.188 1
O10 0.340 0.093 0.804 1
O11 0.581 0.166 0.188 1
O12 0.907 0.660 0.804 1
O13 0.660 0.907 0.804 1
O14 0.000 0.000 0.836 1
Nd1 0.338 0.338 0.513 1
Nd2 0.662 0.662 0.513 1
Sr1 0.838 0.162 0.490 1
Sr2 0.162 0.838 0.490 1
```

=====

# NdAlPd

A geometry-optimized NdAlPd structure (PBE, the Materials Project).

Its symmetry is No. 189. The calculation puts the calculated formation energy at -0.804 eV per atom.

Geometry as CIF:
```
data_NdAlPd
_chemical_formula_sum 'Nd3 Al3 Pd3'
_cell_length_a 4.255
_cell_length_b 7.250
_cell_length_c 7.250
_cell_angle_alpha 120.00
_cell_angle_beta 90.00
_cell_angle_gamma 90.00
_symmetry_space_group_name_H-M 'P 1'
_symmetry_Int_Tables_number 1
_symmetry_space_group_name_Hall 'P 1'
loop_
_atom_site_label
_atom_site_fract_x
_atom_site_fract_y
_atom_site_fract_z
_atom_site_occupancy
Al1 0.500 0.771 0.000 1
Al2 0.500 0.229 0.229 1
Al3 0.500 0.000 0.771 1
Pd1 0.000 0.000 0.000 1
Pd2 0.500 0.333 0.667 1
Pd3 0.500 0.667 0.333 1
Nd1 0.000 0.581 0.581 1
Nd2 0.000 0.000 0.419 1
Nd3 0.000 0.419 0.000 1
```

=====

# NdAlPd2

A geometry-optimized NdAlPd2 structure (PBE, the Materials Project).

Its symmetry is No. 62. The calculation puts the calculated formation energy at -0.881 eV per atom.

Geometry as CIF:
```
data_NdAlPd2
_chemical_formula_sum 'Nd4 Al4 Pd8'
_cell_length_a 5.894
_cell_length_b 7.093
_cell_length_c 7.571
_cell_angle_alpha 90.00
_cell_angle_beta 90.00
_cell_angle_gamma 90.00
_symmetry_space_group_name_H-M 'P 1'
_symmetry_Int_Tables_number 1
_symmetry_space_group_name_Hall 'P 1'
loop_
_atom_site_label
_atom_site_fract_x
_atom_site_fract_y
_atom_site_fract_z
_atom_site_occupancy
Nd1 0.153 0.750 0.533 1
Nd2 0.653 0.250 0.967 1
Nd3 0.347 0.750 0.033 1
Nd4 0.847 0.250 0.467 1
Pd1 0.588 0.553 0.677 1
Pd2 0.412 0.053 0.323 1
Pd3 0.088 0.053 0.823 1
Pd4 0.912 0.947 0.177 1
Pd5 0.088 0.447 0.823 1
Pd6 0.412 0.447 0.323 1
Pd7 0.912 0.553 0.177 1
Pd8 0.588 0.947 0.677 1
Al1 0.346 0.250 0.618 1
Al2 0.654 0.750 0.382 1
Al3 0.154 0.250 0.118 1
Al4 0.846 0.750 0.882 1
```

=====

# PrNdAl6

A geometry-optimized PrNdAl6 structure (PBE, the Materials Project).

Its symmetry is No. 187. The calculation puts the calculated formation energy at -0.434 eV per atom.

Geometry as CIF:
```
data_PrNdAl6
_chemical_formula_sum 'Pr1 Nd1 Al6'
_cell_length_a 6.595
_cell_length_b 6.595
_cell_length_c 4.524
_cell_angle_alpha 90.00
_cell_angle_beta 90.00
_cell_angle_gamma 120.00
_symmetry_space_group_name_H-M 'P 1'
_symmetry_Int_Tables_number 1
_symmetry_space_group_name_Hall 'P 1'
loop_
_atom_site_label
_atom_site_fract_x
_atom_site_fract_y
_atom_site_fract_z
_atom_site_occupancy
Al1 0.718 0.859 0.500 1
Al2 0.858 0.716 0.000 1
Al3 0.284 0.142 0.000 1
Al4 0.858 0.142 0.000 1
Al5 0.141 0.282 0.500 1
Al6 0.141 0.859 0.500 1
Nd1 0.667 0.333 0.500 1
Pr1 0.333 0.667 0.000 1
```

=====

# NdAl2Pt3

A geometry-optimized NdAl2Pt3 structure (PBE, the Materials Project).

Its symmetry is No. 191. The calculation puts the calculated formation energy at -1.082 eV per atom.

Geometry as CIF:
```
data_NdAl2Pt3
_chemical_formula_sum 'Nd1 Al2 Pt3'
_cell_length_a 5.620
_cell_length_b 5.620
_cell_length_c 3.987
_cell_angle_alpha 90.00
_cell_angle_beta 90.00
_cell_angle_gamma 120.00
_symmetry_space_group_name_H-M 'P 1'
_symmetry_Int_Tables_number 1
_symmetry_space_group_name_Hall 'P 1'
loop_
_atom_site_label
_atom_site_fract_x
_atom_site_fract_y
_atom_site_fract_z
_atom_site_occupancy
Pt1 0.000 0.500 0.500 1
Pt2 0.500 0.000 0.500 1
Pt3 0.500 0.500 0.500 1
Nd1 0.000 0.000 0.000 1
Al1 0.667 0.333 0.000 1
Al2 0.333 0.667 0.000 1
```

=====

# Nd2Al9Rh3

A geometry-optimized Nd2Al9Rh3 structure (PBE, the Materials Project).

Its symmetry is No. 63. The calculation puts the calculated formation energy at -0.816 eV per atom.

Geometry as CIF:
```
data_Nd2Al9Rh3
_chemical_formula_sum 'Nd4 Al18 Rh6'
_cell_length_a 7.637
_cell_length_b 7.637
_cell_length_c 9.633
_cell_angle_alpha 90.00
_cell_angle_beta 90.00
_cell_angle_gamma 119.40
_symmetry_space_group_name_H-M 'P 1'
_symmetry_Int_Tables_number 1
_symmetry_space_group_name_Hall 'P 1'
loop_
_atom_site_label
_atom_site_fract_x
_atom_site_fract_y
_atom_site_fract_z
_atom_site_occupancy
Al1 0.665 0.997 0.428 1
Al2 0.335 0.335 0.051 1
Al3 0.546 0.337 0.750 1
Al4 0.128 0.128 0.750 1
Al5 0.335 0.003 0.572 1
Al6 0.335 0.003 0.928 1
Al7 0.665 0.997 0.072 1
Al8 0.665 0.665 0.551 1
Al9 0.003 0.335 0.572 1
Al10 0.665 0.665 0.949 1
Al11 0.335 0.335 0.449 1
Al12 0.337 0.546 0.750 1
Al13 0.872 0.872 0.250 1
Al14 0.663 0.454 0.250 1
Al15 0.997 0.665 0.072 1
Al16 0.454 0.663 0.250 1
Al17 0.997 0.665 0.428 1
Al18 0.003 0.335 0.928 1
Nd1 0.331 0.005 0.250 1
Nd2 0.669 0.995 0.750 1
Nd3 0.005 0.331 0.250 1
Nd4 0.995 0.669 0.750 1
Rh1 0.000 0.000 0.500 1
Rh2 0.329 0.671 0.000 1
Rh3 0.000 0.000 0.000 1
Rh4 0.329 0.671 0.500 1
Rh5 0.671 0.329 0.500 1
Rh6 0.671 0.329 0.000 1
```

=====

# NdAlRh

A geometry-optimized NdAlRh structure (PBE, the Materials Project).

Its symmetry is No. 62. The calculation puts the calculated formation energy at -0.820 eV per atom.

Geometry as CIF:
```
data_NdAlRh
_chemical_formula_sum 'Nd4 Al4 Rh4'
_cell_length_a 4.296
_cell_length_b 7.089
_cell_length_c 8.093
_cell_angle_alpha 90.00
_cell_angle_beta 90.00
_cell_angle_gamma 90.00
_symmetry_space_group_name_H-M 'P 1'
_symmetry_Int_Tables_number 1
_symmetry_space_group_name_Hall 'P 1'
loop_
_atom_site_label
_atom_site_fract_x
_atom_site_fract_y
_atom_site_fract_z
_atom_site_occupancy
Nd1 0.750 0.466 0.820 1
Nd2 0.250 0.034 0.320 1
Nd3 0.250 0.534 0.180 1
Nd4 0.750 0.966 0.680 1
Rh1 0.250 0.773 0.883 1
Rh2 0.250 0.273 0.617 1
Rh3 0.750 0.227 0.117 1
Rh4 0.750 0.727 0.383 1
Al1 0.750 0.864 0.062 1
Al2 0.250 0.136 0.938 1
Al3 0.750 0.364 0.438 1
Al4 0.250 0.636 0.562 1
```

=====

# Nd9Al5Se21

A geometry-optimized Nd9Al5Se21 structure (PBE, the Materials Project).

Its symmetry is No. 146. The calculation puts the calculated formation energy at -1.812 eV per atom.

Geometry as CIF:
```
data_Nd9Al5Se21
_chemical_formula_sum 'Nd18 Al10 Se42'
_cell_length_a 12.252
_cell_length_b 12.252
_cell_length_c 12.252
_cell_angle_alpha 94.68
_cell_angle_beta 94.68
_cell_angle_gamma 94.68
_symmetry_space_group_name_H-M 'P 1'
_symmetry_Int_Tables_number 1
_symmetry_space_group_name_Hall 'P 1'
loop_
_atom_site_label
_atom_site_fract_x
_atom_site_fract_y
_atom_site_fract_z
_atom_site_occupancy
Nd1 0.924 0.773 0.543 1
Nd2 0.233 0.604 0.447 1
Nd3 0.754 0.900 0.125 1
Nd4 0.125 0.754 0.900 1
Nd5 0.447 0.233 0.604 1
Nd6 0.068 0.220 0.449 1
Nd7 0.121 0.886 0.260 1
Nd8 0.566 0.792 0.417 1
Nd9 0.604 0.447 0.233 1
Nd10 0.220 0.449 0.068 1
Nd11 0.260 0.121 0.886 1
Nd12 0.792 0.417 0.566 1
Nd13 0.773 0.543 0.924 1
Nd14 0.900 0.125 0.754 1
Nd15 0.449 0.068 0.220 1
Nd16 0.543 0.924 0.773 1
Nd17 0.417 0.566 0.792 1
Nd18 0.886 0.260 0.121 1
Se1 0.210 0.964 0.058 1
Se2 0.243 0.109 0.336 1
Se3 0.215 0.132 0.644 1
Se4 0.795 0.305 0.895 1
Se5 0.491 0.158 0.829 1
Se6 0.991 0.551 0.458 1
Se7 0.336 0.243 0.109 1
Se8 0.305 0.895 0.795 1
Se9 0.273 0.379 0.515 1
Se10 0.003 0.904 0.762 1
Se11 0.280 0.369 0.839 1
Se12 0.617 0.701 0.189 1
Se13 0.035 0.523 0.932 1
Se14 0.369 0.839 0.280 1
Se15 0.515 0.273 0.379 1
Se16 0.132 0.644 0.215 1
Se17 0.624 0.716 0.850 1
Se18 0.327 0.658 0.993 1
Se19 0.829 0.491 0.158 1
Se20 0.523 0.932 0.035 1
Se21 0.839 0.280 0.369 1
Se22 0.850 0.624 0.716 1
Se23 0.551 0.458 0.991 1
Se24 0.716 0.850 0.624 1
Se25 0.701 0.189 0.617 1
Se26 0.447 0.693 0.594 1
Se27 0.932 0.035 0.523 1
Se28 0.594 0.447 0.693 1
Se29 0.895 0.795 0.305 1
Se30 0.644 0.215 0.132 1
Se31 0.158 0.829 0.491 1
Se32 0.458 0.991 0.551 1
Se33 0.964 0.058 0.210 1
Se34 0.762 0.003 0.904 1
Se35 0.993 0.327 0.658 1
Se36 0.693 0.594 0.447 1
Se37 0.109 0.336 0.243 1
Se38 0.189 0.617 0.701 1
Se39 0.058 0.210 0.964 1
Se40 0.379 0.515 0.273 1
Se41 0.904 0.762 0.003 1
Se42 0.658 0.993 0.327 1
Al1 0.645 0.645 0.645 1
Al2 0.118 0.453 0.774 1
Al3 0.145 0.145 0.145 1
Al4 0.453 0.774 0.118 1
Al5 0.774 0.118 0.453 1
Al6 0.613 0.279 0.954 1
Al7 0.331 0.331 0.331 1
Al8 0.830 0.830 0.830 1
Al9 0.954 0.613 0.279 1
Al10 0.279 0.954 0.613 1
```

=====

# NdAlSi2

A geometry-optimized NdAlSi2 structure (PBE, the Materials Project).

Its symmetry is No. 164. The calculation puts the calculated formation energy at -0.444 eV per atom.

Geometry as CIF:
```
data_NdAlSi2
_chemical_formula_sum 'Nd2 Al2 Si4'
_cell_length_a 4.181
_cell_length_b 4.181
_cell_length_c 11.046
_cell_angle_alpha 90.00
_cell_angle_beta 90.00
_cell_angle_gamma 120.00
_symmetry_space_group_name_H-M 'P 1'
_symmetry_Int_Tables_number 1
_symmetry_space_group_name_Hall 'P 1'
loop_
_atom_site_label
_atom_site_fract_x
_atom_site_fract_y
_atom_site_fract_z
_atom_site_occupancy
Al1 0.667 0.333 0.413 1
Al2 0.333 0.667 0.587 1
Nd1 0.000 0.000 0.819 1
Nd2 0.000 0.000 0.181 1
Si1 0.333 0.667 0.354 1
Si2 0.667 0.333 0.646 1
Si3 0.333 0.667 0.995 1
Si4 0.667 0.333 0.005 1
```

=====

# NdAl2Si2

A geometry-optimized NdAl2Si2 structure (PBE, the Materials Project).

Its symmetry is No. 164. The calculation puts the calculated formation energy at -0.364 eV per atom.

Geometry as CIF:
```
data_NdAl2Si2
_chemical_formula_sum 'Nd1 Al2 Si2'
_cell_length_a 4.236
_cell_length_b 4.236
_cell_length_c 6.810
_cell_angle_alpha 90.00
_cell_angle_beta 90.00
_cell_angle_gamma 120.00
_symmetry_space_group_name_H-M 'P 1'
_symmetry_Int_Tables_number 1
_symmetry_space_group_name_Hall 'P 1'
loop_
_atom_site_label
_atom_site_fract_x
_atom_site_fract_y
_atom_site_fract_z
_atom_site_occupancy
Al1 0.333 0.667 0.640 1
Al2 0.667 0.333 0.360 1
Nd1 0.000 0.000 0.000 1
Si1 0.667 0.333 0.732 1
Si2 0.333 0.667 0.268 1
```

=====

# NdAlSn

A geometry-optimized NdAlSn structure (PBE, the Materials Project).

Its symmetry is No. 187. The calculation puts the calculated formation energy at -0.534 eV per atom.

Geometry as CIF:
```
data_NdAlSn
_chemical_formula_sum 'Nd1 Al1 Sn1'
_cell_length_a 4.182
_cell_length_b 4.596
_cell_length_c 4.596
_cell_angle_alpha 120.00
_cell_angle_beta 90.00
_cell_angle_gamma 90.00
_symmetry_space_group_name_H-M 'P 1'
_symmetry_Int_Tables_number 1
_symmetry_space_group_name_Hall 'P 1'
loop_
_atom_site_label
_atom_site_fract_x
_atom_site_fract_y
_atom_site_fract_z
_atom_site_occupancy
Sn1 0.500 0.667 0.333 1
Nd1 0.000 0.000 0.000 1
Al1 0.500 0.333 0.667 1
```